# 1
Entry from Materials Project: a relaxed structure of DyCo3B2 (PBE).

Computed properties:
Its space-group type is P6/mmm (191). Its formation energy is -0.50 eV per atom. As for the final energy: -42.27 eV per cell.

abc: 4.9960 4.9960 3.0289
angles: 90.00 90.00 120.00
With the nearest neighbours (Å) after each atom.
Sites, in units of the cell vectors:
B1 0.3333 0.6667 0.0000  6 Co 2.09
B2 0.6667 0.3333 0.0000  6 Co 2.09
Co1 0.5000 0.0000 0.5000  4 B 2.09
Co2 0.0000 0.5000 0.5000  4 B 2.09
Co3 0.5000 0.5000 0.5000  4 B 2.09
Dy1 0.0000 0.0000 0.0000  6 B 2.88, 12 Co 2.92, 2 Dy 3.03



# 2
Entry from Materials Project: a relaxed structure of Tl2SiF6 (PBE).

Computed properties:
Its space-group type is Fm-3m (225). Its formation energy is -2.94 eV per atom. As for the final energy: -45.32 eV per cell.

abc: 6.1230 6.1230 6.1230
angles: 60.00 60.00 60.00
With the nearest neighbours (Å) after each atom.
Sites, in units of the cell vectors:
F1 0.1991 0.8009 0.8009  1 Si 1.72
F2 0.8009 0.8009 0.1991  1 Si 1.72
F3 0.1991 0.8009 0.1991  1 Si 1.72
F4 0.8009 0.1991 0.8009  1 Si 1.72
F5 0.1991 0.1991 0.8009  1 Si 1.72
F6 0.8009 0.1991 0.1991  1 Si 1.72
Si1 0.0000 0.0000 0.0000  6 F 1.72
Tl1 0.2500 0.2500 0.2500  12 F 3.09
Tl2 0.7500 0.7500 0.7500  12 F 3.09



# 3
Entry from Materials Project: a relaxed structure of La2Ti2O7 (PBE).

Computed properties:
Its space-group type is Cmc2_1 (36). Its formation energy is -3.78 eV per atom. As for the final energy: -194.05 eV per cell.

abc: 13.0704 13.0704 5.6766
angles: 90.00 90.00 162.82
With the nearest neighbours (Å) after each atom.
Sites, in units of the cell vectors:
La1 0.2971 0.7029 0.6513  6 O 2.42-2.63
La2 0.7029 0.2971 0.1513  6 O 2.42-2.63
La3 0.5508 0.4492 0.7325  7 O 2.41-2.63
La4 0.4492 0.5508 0.2325  7 O 2.41-2.63
O1 0.9867 0.0133 0.4828  1 Ti 1.93
O2 0.1196 0.8804 0.0640  1 Ti 1.78
O3 0.9085 0.0915 0.0650  2 Ti 1.99-2.00
O4 0.6526 0.3474 0.7485  2 Ti 1.99
O5 0.7800 0.2200 0.4102  1 Ti 1.91
O6 0.0915 0.9085 0.5650  2 Ti 1.99-2.00
O7 0.2200 0.7800 0.9102  1 Ti 1.91
O8 0.2014 0.7986 0.4338  1 Ti 1.80
O9 0.4505 0.5495 0.7801  2 Ti 1.99
O10 0.5495 0.4505 0.2801  2 Ti 1.99
O11 0.3474 0.6526 0.2485  2 Ti 1.99
O12 0.8804 0.1196 0.5640  1 Ti 1.78
O13 0.0133 0.9867 0.9828  1 Ti 1.93
O14 0.7986 0.2014 0.9338  1 Ti 1.80
Ti1 0.1627 0.8373 0.6980  5 O 1.80-1.99
Ti2 0.9376 0.0624 0.7383  2 O 1.78-1.93
Ti3 0.8373 0.1627 0.1980  5 O 1.80-1.99
Ti4 0.0624 0.9376 0.2383  2 O 1.78-1.93



# 4
Entry from Materials Project: a relaxed structure of LiLaTiO4 (PBE).

Computed properties:
Its space-group type is P4/nmm (129). Its formation energy is -3.45 eV per atom. As for the final energy: -111.89 eV per cell. For the total magnetization, the calculation gives 0.00 μB per cell.

abc: 3.7759 3.7759 12.3450
angles: 90.00 90.00 90.00
With the nearest neighbours (Å) after each atom.
Sites, in units of the cell vectors:
O1 0.5000 0.0000 0.0750  1 La 2.37
O2 0.0000 0.5000 0.5607  1 Ti 1.79
O3 0.0000 0.0000 0.2545  2 Ti 1.95
O4 0.5000 0.5000 0.7455  2 Ti 1.95
O5 0.5000 0.0000 0.4393  1 Ti 1.79
O6 0.0000 0.5000 0.9250  1 La 2.37
O7 0.0000 0.0000 0.7455  2 Ti 1.95
O8 0.5000 0.5000 0.2545  2 Ti 1.95
Ti1 0.5000 0.0000 0.2940  5 O 1.79-1.95
Ti2 0.0000 0.5000 0.7060  5 O 1.79-1.95
La1 0.0000 0.5000 0.1171  5 O 2.37-2.54
La2 0.5000 0.0000 0.8829  5 O 2.37-2.54
Li1 0.0000 0.0000 0.5000  4 O 2.03
Li2 0.5000 0.5000 0.5000  4 O 2.03



# 5
Entry from Materials Project: a relaxed structure of Mg14AlSi (PBE).

Computed properties:
Its space-group type is Amm2 (38). Its formation energy is 0.04 eV per atom. The energy relative to the lowest polymorph listed for this composition is 21 meV/atom. As for the final energy: -30.93 eV per cell. For the total magnetization, the calculation gives 0.00 μB per cell.

abc: 6.2373 6.3672 10.1854
angles: 90.00 90.00 120.69
With the nearest neighbours (Å) after each atom.
Sites, in units of the cell vectors:
Mg1 0.6661 0.8323 0.6250  12 Mg 3.10-3.20
Mg2 0.1684 0.8342 0.6250  12 Mg 3.11-3.20
Mg3 0.6697 0.8360 0.1250  8 Mg 3.06-3.20, 2 Al 3.08-3.16, 2 Si 3.10-3.14
Mg4 0.8383 0.6692 0.3711  1 Si 3.06, 11 Mg 3.07-3.18
Mg5 0.3287 0.6648 0.8841  1 Si 3.05, 10 Mg 3.06-3.20, 1 Al 3.06
Mg6 0.8366 0.1683 0.3740  1 Al 3.08, 11 Mg 3.08-3.18
Mg7 0.6661 0.3338 0.6250  12 Mg 3.10-3.20
Mg8 0.3287 0.1639 0.8841  1 Si 3.05, 10 Mg 3.06-3.20, 1 Al 3.06
Mg9 0.8366 0.1683 0.8760  1 Al 3.08, 11 Mg 3.08-3.18
Mg10 0.8383 0.6692 0.8789  1 Si 3.06, 11 Mg 3.07-3.18
Mg11 0.6697 0.3337 0.1250  8 Mg 3.06-3.20, 2 Al 3.08-3.16, 2 Si 3.10-3.14
Mg12 0.3287 0.6648 0.3659  1 Si 3.05, 10 Mg 3.06-3.20, 1 Al 3.06
Mg13 0.3287 0.1639 0.3659  1 Si 3.05, 10 Mg 3.06-3.20, 1 Al 3.06
Mg14 0.1691 0.3346 0.6250  12 Mg 3.10-3.20
Al1 0.1610 0.3305 0.1250  10 Mg 3.06-3.16, 2 Si 3.18
Si1 0.1652 0.8326 0.1250  10 Mg 3.05-3.14, 2 Al 3.18



# 6
Entry from Materials Project: a relaxed structure of UI4 (PBE).

Computed properties:
Its space-group type is C2/c (15). Its formation energy is -1.15 eV per atom. As for the final energy: -43.24 eV per cell.

abc: 8.7418 8.7418 7.6944
angles: 88.25 88.25 61.36
With the nearest neighbours (Å) after each atom.
Sites, in units of the cell vectors:
I1 0.2249 0.0004 0.5722  2 U 3.06-3.13
I2 0.0004 0.2249 0.0722  2 U 3.06-3.13
I3 0.7751 0.9996 0.4278  2 U 3.06-3.13
I4 0.9996 0.7751 0.9278  2 U 3.06-3.13
I5 0.4869 0.7604 0.1103  1 U 2.88
I6 0.7604 0.4869 0.6103  1 U 2.88
I7 0.5131 0.2396 0.8897  1 U 2.88
I8 0.2396 0.5131 0.3897  1 U 2.88
U1 0.8567 0.1433 0.7500  6 I 2.88-3.13
U2 0.1433 0.8567 0.2500  6 I 2.88-3.13